Record 1
NaI: optimized geometry, PBE-GGA.

Output
V: 164.1 Å³/cell
Energy relative to the elements: -1341 meV/atom

The structure in POSCAR format:
```
NaI
1.0
-2.215 2.215 8.364
2.215 -2.215 8.364
2.215 2.215 -8.364
Na I
2 2
Direct
0.250 0.750 0.500 Na
0.500 0.500 0.000 Na
0.750 0.250 0.500 I
0.000 0.000 0.000 I
```

Record 2
LiLa2TiO6: optimized geometry, PBE-GGA.

Output
V: 250.7 Å³/cell
Energy relative to the elements: -3351 meV/atom

The structure in POSCAR format:
```
LiLa2TiO6
1.0
5.680 0.000 0.000
0.000 5.603 0.000
0.000 5.541 7.876
O La Li Ti
12 4 2 2
Direct
0.282 0.743 0.451 O
0.025 0.350 0.740 O
0.782 0.257 0.049 O
0.803 0.827 0.453 O
0.718 0.257 0.549 O
0.975 0.650 0.260 O
0.475 0.350 0.240 O
0.697 0.827 0.953 O
0.197 0.173 0.547 O
0.303 0.173 0.047 O
0.218 0.743 0.951 O
0.525 0.650 0.760 O
0.047 0.237 0.252 La
0.547 0.763 0.248 La
0.453 0.237 0.752 La
0.953 0.763 0.748 La
0.500 0.000 0.500 Li
0.000 0.000 0.000 Li
0.500 0.500 0.000 Ti
0.000 0.500 0.500 Ti
```

Record 3
MgTi2: optimized geometry, PBE-GGA.

Output
V: 446.1 Å³/cell
Energy relative to the elements: 144 meV/atom

The structure in POSCAR format:
```
MgTi2
1.0
4.703 0.000 0.000
0.000 7.974 0.000
0.000 2.278 11.895
Mg Ti
8 16
Direct
0.750 0.391 0.764 Mg
0.250 0.609 0.236 Mg
0.250 0.621 0.734 Mg
0.750 0.728 0.350 Mg
0.750 0.726 0.093 Mg
0.250 0.274 0.907 Mg
0.750 0.379 0.266 Mg
0.250 0.272 0.650 Mg
0.250 0.954 0.069 Ti
0.250 0.610 0.489 Ti
0.250 0.614 0.983 Ti
0.750 0.046 0.931 Ti
0.750 0.390 0.511 Ti
0.750 0.042 0.679 Ti
0.250 0.958 0.321 Ti
0.750 0.055 0.435 Ti
0.250 0.936 0.821 Ti
0.750 0.064 0.179 Ti
0.250 0.263 0.409 Ti
0.750 0.386 0.017 Ti
0.250 0.945 0.565 Ti
0.750 0.740 0.849 Ti
0.750 0.737 0.591 Ti
0.250 0.260 0.151 Ti
```

Record 4
AsSeS2N2F6: optimized geometry, PBE-GGA.

Output
V: 1728.3 Å³/cell
Energy relative to the elements: -1325 meV/atom

The structure in POSCAR format:
```
AsSeS2N2F6
1.0
16.436 0.000 0.000
0.000 10.225 0.000
0.000 8.855 10.284
F S Se N As
48 16 8 16 8
Direct
0.489 0.818 0.938 F
0.512 0.129 0.738 F
0.008 0.907 0.215 F
0.488 0.871 0.262 F
0.873 0.957 0.391 F
0.720 0.550 0.769 F
0.758 0.685 0.036 F
0.871 0.046 0.169 F
0.242 0.315 0.964 F
0.629 0.046 0.669 F
0.139 0.187 0.913 F
0.989 0.182 0.562 F
0.988 0.129 0.238 F
0.607 0.734 0.871 F
0.127 0.043 0.609 F
0.325 0.602 0.309 F
0.780 0.550 0.269 F
0.492 0.907 0.715 F
0.639 0.813 0.587 F
0.592 0.654 0.512 F
0.929 0.524 0.244 F
0.742 0.685 0.536 F
0.861 0.813 0.087 F
0.373 0.043 0.109 F
0.258 0.315 0.464 F
0.675 0.398 0.691 F
0.371 0.954 0.331 F
0.893 0.734 0.371 F
0.107 0.266 0.629 F
0.408 0.346 0.488 F
0.071 0.476 0.756 F
0.508 0.093 0.285 F
0.992 0.093 0.785 F
0.361 0.187 0.413 F
0.627 0.957 0.891 F
0.511 0.182 0.062 F
0.011 0.818 0.438 F
0.908 0.654 0.012 F
0.129 0.954 0.831 F
0.220 0.450 0.731 F
0.280 0.450 0.231 F
0.429 0.476 0.256 F
0.092 0.346 0.988 F
0.393 0.266 0.129 F
0.571 0.524 0.744 F
0.012 0.871 0.762 F
0.175 0.602 0.809 F
0.825 0.398 0.191 F
0.798 0.156 0.473 S
0.601 0.589 0.196 S
0.614 0.390 0.464 S
0.899 0.589 0.696 S
0.190 0.042 0.259 S
0.690 0.958 0.241 S
0.399 0.411 0.804 S
0.702 0.156 0.973 S
0.114 0.610 0.036 S
0.810 0.958 0.741 S
0.310 0.042 0.759 S
0.886 0.390 0.964 S
0.101 0.411 0.304 S
0.386 0.610 0.536 S
0.202 0.844 0.527 S
0.298 0.844 0.027 S
0.708 0.328 0.031 Se
0.792 0.328 0.531 Se
0.384 0.781 0.593 Se
0.616 0.219 0.407 Se
0.116 0.781 0.093 Se
0.884 0.219 0.907 Se
0.292 0.672 0.969 Se
0.208 0.672 0.469 Se
0.810 0.975 0.617 N
0.310 0.025 0.883 N
0.198 0.859 0.301 N
0.108 0.595 0.262 N
0.190 0.025 0.383 N
0.897 0.572 0.820 N
0.892 0.405 0.738 N
0.397 0.428 0.680 N
0.103 0.428 0.180 N
0.392 0.595 0.762 N
0.802 0.141 0.699 N
0.690 0.975 0.117 N
0.603 0.572 0.320 N
0.698 0.141 0.199 N
0.302 0.859 0.801 N
0.608 0.405 0.238 N
0.558 0.929 0.806 As
0.845 0.607 0.137 As
0.442 0.071 0.194 As
0.155 0.393 0.863 As
0.058 0.071 0.694 As
0.655 0.607 0.637 As
0.942 0.929 0.306 As
0.345 0.393 0.363 As
```